Record 1
A plane-wave DFT calculation with GGA-PBE was carried out for a relaxed structure of RbMg6BiO8.

## Properties
Total DFT energy (no corrections): -5.211 eV/atom
Excess energy over the best structure of this formula in the dataset: 118.7 meV/atom
ΔE_f: -2.1759 eV/atom
Calculated volume: 204.00 Å³/f.u.
Symmetry: No. 123

a = 9.309 Å, b = 4.681 Å, c = 4.681 Å
α = 90.00°, β = 90.00°, γ = 90.00°
Atoms (fractional coordinates):
Rb  0.000  0.000  0.000
Mg  0.000  0.500  0.500
Mg  0.500  0.500  0.500
Mg  0.228  0.000  0.500
Mg  0.772  0.000  0.500
Mg  0.228  0.500  0.000
Mg  0.772  0.500  0.000
Bi  0.500  0.000  0.000
O  0.260  0.000  0.000
O  0.740  0.000  0.000
O  0.248  0.500  0.500
O  0.752  0.500  0.500
O  0.000  0.000  0.500
O  0.500  0.000  0.500
O  0.000  0.500  0.000
O  0.500  0.500  0.000

Record 2
A plane-wave DFT calculation with GGA-PBE was carried out for a relaxed structure of RbMgBiO3.

## Properties
Total DFT energy (no corrections): -4.542 eV/atom
ΔE_f: -1.3332 eV/atom
Calculated volume: 110.42 Å³/f.u.
Symmetry: No. 123

a = 4.493 Å, b = 5.470 Å, c = 4.493 Å
α = 90.00°, β = 90.00°, γ = 90.00°
Atoms (fractional coordinates):
Rb  0.000  0.000  0.000
Mg  0.000  0.500  0.000
Bi  0.500  0.500  0.500
O  0.500  0.500  0.000
O  0.500  0.000  0.500
O  0.000  0.500  0.500

Record 3
A plane-wave DFT calculation with GGA-PBE was carried out for a relaxed structure of Rb2MgBi2O5.

## Properties
Total DFT energy (no corrections): -4.913 eV/atom
Excess energy over the best structure of this formula in the dataset: 0.0 meV/atom
ΔE_f: -1.6487 eV/atom
Calculated volume: 221.97 Å³/f.u.
Symmetry: No. 99

a = 11.856 Å, b = 4.327 Å, c = 4.327 Å
α = 90.00°, β = 90.00°, γ = 90.00°
Atoms (fractional coordinates):
Rb  0.914  0.000  0.000
Rb  0.571  0.000  0.000
Mg  0.216  0.000  0.000
Bi  0.318  0.500  0.500
Bi  0.721  0.500  0.500
O  0.233  0.500  0.000
O  0.776  0.500  0.000
O  0.499  0.500  0.500
O  0.233  0.000  0.500
O  0.776  0.000  0.500

Record 4
A plane-wave DFT calculation with GGA-PBE was carried out for a relaxed structure of Mg2BiSbO6.

## Properties
Total DFT energy (no corrections): -5.872 eV/atom
ΔE_f: -2.1933 eV/atom
Calculated volume: 126.50 Å³/f.u.
Symmetry: No. 11

a = 8.077 Å, b = 5.591 Å, c = 5.607 Å
α = 87.71°, β = 90.00°, γ = 90.00°
Atoms (fractional coordinates):
Mg  0.750  0.531  0.489
Mg  0.250  0.469  0.511
Mg  0.750  0.021  0.025
Mg  0.250  0.979  0.975
Bi  0.500  0.000  0.500
Bi  0.000  0.000  0.500
Sb  0.500  0.500  0.000
Sb  0.000  0.500  0.000
O  0.427  0.639  0.307
O  0.070  0.183  0.128
O  0.927  0.361  0.693
O  0.570  0.817  0.872
O  0.430  0.183  0.128
O  0.930  0.817  0.872
O  0.250  0.603  0.860
O  0.073  0.639  0.307
O  0.750  0.874  0.358
O  0.573  0.361  0.693
O  0.750  0.397  0.140
O  0.250  0.126  0.642

Record 5
A plane-wave DFT calculation with GGA-PBE was carried out for a relaxed structure of Mg6SiBiO8.

## Properties
Total DFT energy (no corrections): -5.578 eV/atom
ΔE_f: -2.2647 eV/atom
Calculated volume: 186.20 Å³/f.u.
Symmetry: No. 123

a = 9.072 Å, b = 4.530 Å, c = 4.530 Å
α = 90.00°, β = 90.00°, γ = 90.00°
Atoms (fractional coordinates):
Mg  0.000  0.500  0.500
Mg  0.500  0.500  0.500
Mg  0.241  0.000  0.500
Mg  0.759  0.000  0.500
Mg  0.241  0.500  0.000
Mg  0.759  0.500  0.000
Si  0.000  0.000  0.000
Bi  0.500  0.000  0.000
O  0.187  0.000  0.000
O  0.813  0.000  0.000
O  0.244  0.500  0.500
O  0.756  0.500  0.500
O  0.000  0.000  0.500
O  0.500  0.000  0.500
O  0.000  0.500  0.000
O  0.500  0.500  0.000

Record 6
A plane-wave DFT calculation with GGA-PBE was carried out for a relaxed structure of Mg3Si4Bi2O14.

## Properties
Total DFT energy (no corrections): -6.817 eV/atom
ΔE_f: -2.7332 eV/atom
Calculated volume: 308.56 Å³/f.u.
Symmetry: No. 15

a = 9.676 Å, b = 9.676 Å, c = 10.389 Å
α = 58.24°, β = 58.24°, γ = 51.43°
Atoms (fractional coordinates):
Mg  0.068  0.299  0.075
Mg  0.701  0.932  0.425
Mg  0.299  0.068  0.575
Mg  0.388  0.612  0.750
Mg  0.932  0.701  0.925
Mg  0.612  0.388  0.250
Si  0.516  0.090  0.719
Si  0.090  0.516  0.219
Si  0.492  0.264  0.118
Si  0.264  0.492  0.618
Si  0.910  0.484  0.781
Si  0.508  0.736  0.882
Si  0.736  0.508  0.382
Si  0.484  0.910  0.281
Bi  0.775  0.225  0.750
Bi  0.225  0.775  0.250
Bi  0.000  0.000  0.000
Bi  0.000  0.000  0.500
O  0.810  0.342  0.315
O  0.935  0.886  0.408
O  0.508  0.598  0.063
O  0.886  0.935  0.908
O  0.287  0.935  0.313
O  0.079  0.509  0.623
O  0.598  0.508  0.563
O  0.065  0.713  0.187
O  0.921  0.491  0.377
O  0.650  0.707  0.244
O  0.065  0.114  0.592
O  0.713  0.065  0.687
O  0.491  0.921  0.877
O  0.342  0.810  0.815
O  0.707  0.650  0.744
O  0.935  0.287  0.813
O  0.915  0.503  0.926
O  0.350  0.293  0.756
O  0.497  0.085  0.574
O  0.293  0.350  0.256
O  0.509  0.079  0.123
O  0.114  0.065  0.092
O  0.503  0.915  0.426
O  0.492  0.402  0.937
O  0.085  0.497  0.074
O  0.402  0.492  0.437
O  0.658  0.190  0.185
O  0.190  0.658  0.685

Record 7
A plane-wave DFT calculation with GGA-PBE was carried out for a relaxed structure of Mg3Si3Bi2O12.

## Properties
Total DFT energy (no corrections): -6.615 eV/atom
ΔE_f: -2.6160 eV/atom
Calculated volume: 243.04 Å³/f.u.
Symmetry: No. 230

a = 10.809 Å, b = 10.809 Å, c = 10.809 Å
α = 109.47°, β = 109.47°, γ = 109.47°
Atoms (fractional coordinates):
Mg  0.250  0.375  0.125
Mg  0.750  0.125  0.375
Mg  0.375  0.125  0.250
Mg  0.125  0.375  0.750
Mg  0.250  0.875  0.625
Mg  0.125  0.250  0.375
Mg  0.625  0.250  0.875
Mg  0.750  0.625  0.875
Mg  0.875  0.750  0.625
Mg  0.875  0.625  0.250
Mg  0.625  0.875  0.750
Mg  0.375  0.750  0.125
Si  0.125  0.750  0.875
Si  0.875  0.250  0.125
Si  0.750  0.375  0.625
Si  0.125  0.875  0.250
Si  0.250  0.125  0.875
Si  0.375  0.625  0.750
Si  0.375  0.250  0.625
Si  0.875  0.125  0.750
Si  0.625  0.375  0.250
Si  0.750  0.875  0.125
Si  0.250  0.625  0.375
Si  0.625  0.750  0.375
Bi  0.500  0.000  0.000
Bi  0.500  0.500  0.000
Bi  0.000  0.500  0.500
Bi  0.000  0.000  0.500
Bi  0.500  0.500  0.500
Bi  0.000  0.500  0.000
Bi  0.500  0.000  0.500
Bi  0.000  0.000  0.000
O  0.602  0.893  0.368
O  0.368  0.602  0.893
O  0.266  0.291  0.898
O  0.475  0.607  0.209
O  0.291  0.893  0.025
O  0.132  0.025  0.234
O  0.368  0.266  0.475
O  0.893  0.368  0.602
O  0.209  0.234  0.602
O  0.475  0.368  0.266
O  0.893  0.025  0.291
O  0.607  0.898  0.132
O  0.898  0.132  0.607
O  0.266  0.475  0.368
O  0.602  0.209  0.234
O  0.234  0.602  0.209
O  0.025  0.291  0.893
O  0.898  0.266  0.291
O  0.025  0.234  0.132
O  0.791  0.766  0.398
O  0.209  0.475  0.607
O  0.607  0.209  0.475
O  0.234  0.132  0.025
O  0.132  0.607  0.898
O  0.398  0.107  0.632
O  0.632  0.398  0.107
O  0.734  0.709  0.102
O  0.525  0.393  0.791
O  0.709  0.107  0.975
O  0.868  0.975  0.766
O  0.632  0.734  0.525
O  0.107  0.632  0.398
O  0.868  0.393  0.102
O  0.766  0.868  0.975
O  0.393  0.791  0.525
O  0.709  0.102  0.734
O  0.791  0.525  0.393
O  0.975  0.766  0.868
O  0.102  0.734  0.709
O  0.975  0.709  0.107
O  0.766  0.398  0.791
O  0.398  0.791  0.766
O  0.734  0.525  0.632
O  0.102  0.868  0.393
O  0.393  0.102  0.868
O  0.107  0.975  0.709
O  0.525  0.632  0.734
O  0.291  0.898  0.266

Record 8
A plane-wave DFT calculation with GGA-PBE was carried out for a relaxed structure of Mg6SiBiO8.

## Properties
Total DFT energy (no corrections): -5.576 eV/atom
ΔE_f: -2.2629 eV/atom
Calculated volume: 186.62 Å³/f.u.
Symmetry: No. 123

a = 8.887 Å, b = 4.582 Å, c = 4.582 Å
α = 90.00°, β = 90.00°, γ = 90.00°
Atoms (fractional coordinates):
Mg  0.500  0.000  0.000
Mg  0.500  0.500  0.500
Mg  0.267  0.000  0.500
Mg  0.733  0.000  0.500
Mg  0.267  0.500  0.000
Mg  0.733  0.500  0.000
Si  0.000  0.000  0.000
Bi  0.000  0.500  0.500
O  0.268  0.000  0.000
O  0.732  0.000  0.000
O  0.271  0.500  0.500
O  0.729  0.500  0.500
O  0.000  0.000  0.500
O  0.500  0.000  0.500
O  0.000  0.500  0.000
O  0.500  0.500  0.000